No. 1
# PBE SbH7Br6O3, relaxed
data_SbH7Br6O3
_chemical_formula_sum 'Sb4 H28 Br24 O12'
_symmetry_space_group_name_H-M 'P 1 21/c 1'
_symmetry_Int_Tables_number 14
_cell_length_a 7.2252
_cell_length_b 13.7499
_cell_length_c 13.0357
_cell_angle_alpha 90.00
_cell_angle_beta 94.78
_cell_angle_gamma 90.00
loop_
_symmetry_equiv_pos_as_xyz
'x,y,z'
'-x,-y,-z'
'-x,y+1/2,-z+1/2'
'x,-y+1/2,z+1/2'
loop_
_atom_site_label
_atom_site_type_symbol
_atom_site_fract_x
_atom_site_fract_y
_atom_site_fract_z
Sb1 Sb 0.1944 0.1321 0.3070
H1 H 0.0982 0.7226 0.9384
H2 H 0.2227 0.6768 0.0318
H3 H 0.2425 0.0765 0.8580
H4 H 0.2974 0.6875 0.4921
H5 H 0.3438 0.5641 0.4476
H6 H 0.4061 0.0268 0.8062
H7 H 0.4697 0.6014 0.5525
Br1 Br 0.0007 0.2073 0.7741
Br2 Br 0.1012 0.5428 0.1381
Br3 Br 0.1054 0.0762 0.1173
Br4 Br 0.2767 0.1874 0.4958
Br5 Br 0.3883 0.5264 0.8413
Br6 Br 0.4873 0.2206 0.2501
O1 O 0.2229 0.7246 0.9746
O2 O 0.3549 0.6133 0.5047
O3 O 0.3592 0.0407 0.8738
# magnetization: 0.000 μB/f.u.
# V: 1291 Å³ per cell
# energy of formation: -0.867 eV per atom

=====

No. 2
# PBE SrSn2H10Br6O5, relaxed
data_SrSn2H10Br6O5
_chemical_formula_sum 'Sr4 Sn8 H40 Br24 O20'
_symmetry_space_group_name_H-M 'C 1 2/c 1'
_symmetry_Int_Tables_number 15
_cell_length_a 15.5751
_cell_length_b 12.8160
_cell_length_c 9.4176
_cell_angle_alpha 90.00
_cell_angle_beta 112.83
_cell_angle_gamma 90.00
loop_
_symmetry_equiv_pos_as_xyz
'x,y,z'
'-x,-y,-z'
'-x,y,-z+1/2'
'x,-y,z+1/2'
'x+1/2,y+1/2,z'
'-x+1/2,-y+1/2,-z'
'-x+1/2,y+1/2,-z+1/2'
'x+1/2,-y+1/2,z+1/2'
loop_
_atom_site_label
_atom_site_type_symbol
_atom_site_fract_x
_atom_site_fract_y
_atom_site_fract_z
Sr1 Sr 0.0000 0.0146 0.2500
Sn1 Sn 0.1251 0.3884 0.9748
H1 H 0.0426 0.1612 0.5336
H2 H 0.0546 0.2616 0.2781
H3 H 0.1376 0.1037 0.5936
H4 H 0.1830 0.1079 0.2261
H5 H 0.2190 0.0200 0.3496
Br1 Br 0.0616 0.3669 0.5940
Br2 Br 0.1428 0.1690 0.9629
Br3 Br 0.1902 0.3690 0.2946
O1 O 0.0000 0.2155 0.2500
O2 O 0.0698 0.0907 0.5508
O3 O 0.1697 0.0719 0.3075
# magnetization: 0.002 μB/f.u.
# V: 1733 Å³ per cell
# energy of formation: -1.241 eV per atom

=====

No. 3
# PBE SrH2Br2O, relaxed
data_SrH2Br2O
_chemical_formula_sum 'Sr4 H8 Br8 O4'
_symmetry_space_group_name_H-M 'P n m a'
_symmetry_Int_Tables_number 62
_cell_length_a 11.5913
_cell_length_b 4.3361
_cell_length_c 9.3518
_cell_angle_alpha 90.00
_cell_angle_beta 90.00
_cell_angle_gamma 90.00
loop_
_symmetry_equiv_pos_as_xyz
'x,y,z'
'-x,-y,-z'
'-x+1/2,-y,z+1/2'
'x+1/2,y,-z+1/2'
'x+1/2,-y+1/2,-z+1/2'
'-x+1/2,y+1/2,z+1/2'
'-x,y+1/2,-z'
'x,-y+1/2,z'
loop_
_atom_site_label
_atom_site_type_symbol
_atom_site_fract_x
_atom_site_fract_y
_atom_site_fract_z
Sr1 Sr 0.1887 0.2500 0.1130
H1 H 0.1213 0.2500 0.6939
H2 H 0.1221 0.2500 0.5274
Br1 Br 0.1006 0.7500 0.8868
Br2 Br 0.1159 0.7500 0.3462
O1 O 0.1735 0.2500 0.6109
# magnetization: 0.001 μB/f.u.
# V: 470 Å³ per cell
# energy of formation: -1.711 eV per atom

=====

No. 4
# PBE SrHBrO, relaxed
data_SrHBrO
_chemical_formula_sum 'Sr4 H4 Br4 O4'
_symmetry_space_group_name_H-M 'C 1 2/m 1'
_symmetry_Int_Tables_number 12
_cell_length_a 11.0822
_cell_length_b 4.3386
_cell_length_c 7.4368
_cell_angle_alpha 90.00
_cell_angle_beta 106.79
_cell_angle_gamma 90.00
loop_
_symmetry_equiv_pos_as_xyz
'x,y,z'
'-x,-y,-z'
'-x,y,-z'
'x,-y,z'
'x+1/2,y+1/2,z'
'-x+1/2,-y+1/2,-z'
'-x+1/2,y+1/2,-z'
'x+1/2,-y+1/2,z'
loop_
_atom_site_label
_atom_site_type_symbol
_atom_site_fract_x
_atom_site_fract_y
_atom_site_fract_z
Sr1 Sr 0.1983 0.0000 0.2762
H1 H 0.0560 0.5000 0.3810
Br1 Br 0.1119 0.0000 0.8266
O1 O 0.1470 0.5000 0.4040
# magnetization: 0.000 μB/f.u.
# V: 342 Å³ per cell
# energy of formation: -2.189 eV per atom

=====

No. 5
# PBE TbH18Br3O18, relaxed
data_TbH18Br3O18
_chemical_formula_sum 'Tb2 H36 Br6 O36'
_symmetry_space_group_name_H-M 'P 63 m c'
_symmetry_Int_Tables_number 186
_symmetry_space_group_name_Hall 'P 6c -2c'
_cell_length_a 11.8014
_cell_length_b 11.8014
_cell_length_c 6.7941
_cell_angle_alpha 90.00
_cell_angle_beta 90.00
_cell_angle_gamma 120.00
loop_
_atom_site_label
_atom_site_type_symbol
_atom_site_fract_x
_atom_site_fract_y
_atom_site_fract_z
Tb1 Tb 0.3333 0.6667 0.0000
H1 H 0.1177 0.3719 0.0105
H2 H 0.1250 0.4957 0.6930
H3 H 0.1257 0.4965 0.3140
Br1 Br 0.1299 0.2598 0.5105
O1 O 0.0675 0.3631 0.5044
O2 O 0.0923 0.1845 0.2950
O3 O 0.1544 0.5772 0.2372
O4 O 0.1541 0.5771 0.7681
O5 O 0.2127 0.4254 0.9894
# magnetization: 0.000 μB/f.u.
# V: 819 Å³ per cell
# energy of formation: -1.196 eV per atom

=====

No. 6
# PBE UH4Br2O4, relaxed
data_UH4Br2O4
_chemical_formula_sum 'U4 H16 Br8 O16'
_symmetry_space_group_name_H-M 'P 1 21/c 1'
_symmetry_Int_Tables_number 14
_cell_length_a 6.1741
_cell_length_b 10.9712
_cell_length_c 10.8152
_cell_angle_alpha 90.00
_cell_angle_beta 101.94
_cell_angle_gamma 90.00
loop_
_symmetry_equiv_pos_as_xyz
'x,y,z'
'-x,-y,-z'
'-x,y+1/2,-z+1/2'
'x,-y+1/2,z+1/2'
loop_
_atom_site_label
_atom_site_type_symbol
_atom_site_fract_x
_atom_site_fract_y
_atom_site_fract_z
U1 U 0.0890 0.1928 0.1010
H1 H 0.1313 0.0317 0.6908
H2 H 0.3662 0.0912 0.7448
H3 H 0.4076 0.7020 0.2942
H4 H 0.4978 0.6718 0.1712
Br1 Br 0.2535 0.5609 0.5822
Br2 Br 0.2573 0.6334 0.9664
O1 O 0.0390 0.6388 0.2731
O2 O 0.2106 0.1092 0.7087
O3 O 0.2262 0.2381 0.9778
O4 O 0.4587 0.1802 0.2362
# magnetization: 0.000 μB/f.u.
# V: 717 Å³ per cell
# energy of formation: -1.808 eV per atom

=====

No. 7
# PBE Sr7H12Br2, relaxed
data_Sr7H12Br2
_chemical_formula_sum 'Sr7 H12 Br2'
_symmetry_space_group_name_H-M 'P -6'
_symmetry_Int_Tables_number 174
_cell_length_a 10.0785
_cell_length_b 10.0785
_cell_length_c 4.0225
_cell_angle_alpha 90.00
_cell_angle_beta 90.00
_cell_angle_gamma 120.00
loop_
_symmetry_equiv_pos_as_xyz
'x,y,z'
'-x+y,-x,-z'
'-y,x-y,z'
'x,y,-z'
'-x+y,-x,z'
'-y,x-y,-z'
loop_
_atom_site_label
_atom_site_type_symbol
_atom_site_fract_x
_atom_site_fract_y
_atom_site_fract_z
Sr1 Sr 0.0000 0.0000 0.0000
Sr2 Sr 0.1092 0.7176 0.5000
Sr3 Sr 0.4080 0.0994 0.0000
H1 H 0.0501 0.4401 0.5000
H2 H 0.1206 0.2746 0.0000
H3 H 0.2126 0.1079 0.5000
H4 H 0.4229 0.3613 0.0000
Br1 Br 0.3333 0.6667 0.0000
Br2 Br 0.6667 0.3333 0.5000
# V: 354 Å³ per cell
# energy of formation: -0.834 eV per atom
# maximum piezoelectric response: 0.2 C/m2

=====

No. 8
# PBE Sr2HBr2, relaxed
data_Sr2HBr2
_chemical_formula_sum 'Sr2 H1 Br2'
_symmetry_space_group_name_H-M 'P 4/m m m'
_symmetry_Int_Tables_number 123
_symmetry_space_group_name_Hall '-P 4 2'
_cell_length_a 5.3629
_cell_length_b 5.3629
_cell_length_c 15.6069
_cell_angle_alpha 90.00
_cell_angle_beta 90.00
_cell_angle_gamma 90.00
loop_
_atom_site_label
_atom_site_type_symbol
_atom_site_fract_x
_atom_site_fract_y
_atom_site_fract_z
Sr1 Sr 0.0000 0.0000 0.1469
H1 H 0.0000 0.0000 0.0000
Br1 Br 0.0000 0.0000 0.3204
# magnetization: 0.205 μB/f.u.
# V: 449 Å³ per cell
# energy of formation: -0.718 eV per atom

=====

No. 9
# PBE SrHBr, relaxed
data_SrHBr
_chemical_formula_sum 'Sr2 H2 Br2'
_symmetry_space_group_name_H-M 'P 4/n m m'
_symmetry_Int_Tables_number 129
_cell_length_a 4.2259
_cell_length_b 4.2259
_cell_length_c 7.5335
_cell_angle_alpha 90.00
_cell_angle_beta 90.00
_cell_angle_gamma 90.00
loop_
_symmetry_equiv_pos_as_xyz
'x,y,z'
'-x,-y,-z'
'-y+1/2,x,z'
'y+1/2,-x,-z'
'-x+1/2,-y+1/2,z'
'x+1/2,y+1/2,-z'
'y,-x+1/2,z'
'-y,x+1/2,-z'
'x+1/2,-y,-z'
'-x+1/2,y,z'
'-y,-x,-z'
'y,x,z'
'-x,y+1/2,-z'
'x,-y+1/2,z'
'y+1/2,x+1/2,-z'
'-y+1/2,-x+1/2,z'
loop_
_atom_site_label
_atom_site_type_symbol
_atom_site_fract_x
_atom_site_fract_y
_atom_site_fract_z
Sr1 Sr 0.2500 0.2500 0.1818
H1 H 0.2500 0.7500 0.0000
Br1 Br 0.2500 0.2500 0.6585
# V: 135 Å³ per cell
# energy of formation: -1.567 eV per atom

=====

No. 10
# PBE TbH2Br, relaxed
data_TbH2Br
_chemical_formula_sum 'Tb6 H12 Br6'
_symmetry_space_group_name_H-M 'R -3 m'
_symmetry_Int_Tables_number 166
_symmetry_space_group_name_Hall '-R 3 2"'
_cell_length_a 3.7852
_cell_length_b 3.7852
_cell_length_c 31.3664
_cell_angle_alpha 90.00
_cell_angle_beta 90.00
_cell_angle_gamma 120.00
loop_
_atom_site_label
_atom_site_type_symbol
_atom_site_fract_x
_atom_site_fract_y
_atom_site_fract_z
Tb1 Tb 0.0000 0.0000 0.1149
H1 H 0.0000 0.0000 0.1864
H2 H 0.0000 0.0000 0.4536
Br1 Br 0.0000 0.0000 0.2803
# V: 389 Å³ per cell
# energy of formation: -1.212 eV per atom

=====

No. 11
# PBE ZrHBr, relaxed
data_ZrHBr
_chemical_formula_sum 'Zr2 H2 Br2'
_symmetry_space_group_name_H-M 'P -3 m 1'
_symmetry_Int_Tables_number 164
_symmetry_space_group_name_Hall '-P 3 2"'
_cell_length_a 3.4510
_cell_length_b 3.4510
_cell_length_c 10.2284
_cell_angle_alpha 90.00
_cell_angle_beta 90.00
_cell_angle_gamma 120.00
loop_
_atom_site_label
_atom_site_type_symbol
_atom_site_fract_x
_atom_site_fract_y
_atom_site_fract_z
Zr1 Zr 0.3333 0.6667 0.1440
H1 H 0.3333 0.6667 0.9416
Br1 Br 0.3333 0.6667 0.6688
# magnetization: 0.001 μB/f.u.
# V: 105 Å³ per cell
# energy of formation: -1.010 eV per atom

=====

No. 12
# PBE Zr2HBr2, relaxed
data_Zr2HBr2
_chemical_formula_sum 'Zr8 H4 Br8'
_symmetry_space_group_name_H-M 'C 1 2/m 1'
_symmetry_Int_Tables_number 12
_cell_length_a 20.4481
_cell_length_b 3.5335
_cell_length_c 5.9762
_cell_angle_alpha 90.00
_cell_angle_beta 100.02
_cell_angle_gamma 90.00
loop_
_symmetry_equiv_pos_as_xyz
'x,y,z'
'-x,-y,-z'
'-x,y,-z'
'x,-y,z'
'x+1/2,y+1/2,z'
'-x+1/2,-y+1/2,-z'
'-x+1/2,y+1/2,-z'
'x+1/2,-y+1/2,z'
loop_
_atom_site_label
_atom_site_type_symbol
_atom_site_fract_x
_atom_site_fract_y
_atom_site_fract_z
Zr1 Zr 0.1844 0.0000 0.4503
Zr2 Zr 0.1868 0.5000 0.9510
H1 H 0.2181 0.5000 0.6178
Br1 Br 0.0906 0.0000 0.7258
Br2 Br 0.0928 0.5000 0.2269
# magnetization: 0.000 μB/f.u.
# V: 425 Å³ per cell
# energy of formation: -1.137 eV per atom